The following is a PBE calculation of crystalline Li4Cu3F12 at its relaxed geometry, from Materials Project.

Cell: 7.943 8.867 13.811 Å, 90.00 91.04 90.00°
Space group P2_1/c (No. 14)
Asymmetric unit:
Li: 0.037 0.004 0.402
Li: 0.115 0.168 0.169
Li: 0.216 0.121 0.901
Li: 0.421 0.698 0.335
Cu: 0.108 0.666 0.690
Cu: 0.349 0.160 0.543
Cu: 0.436 0.651 0.638
F: 0.045 0.008 0.839
F: 0.053 0.670 0.824
F: 0.066 0.189 0.330
F: 0.163 0.034 0.522
F: 0.187 0.673 0.562
F: 0.202 0.172 0.035
F: 0.285 0.514 0.707
F: 0.309 0.700 0.213
F: 0.345 0.191 0.681
F: 0.399 0.209 0.404
F: 0.416 0.505 0.391
F: 0.422 0.662 0.940

## Properties
electronic total energy = -4.238 eV/atom